Entry 1:
# PBE-GGA Na5Nb3Si6SnO24, optimized geometry
# Crystal system = triclinic
data_Na5Nb3Si6SnO24
_space_group_name_H-M_alt 'P 1'
_space_group_IT_number 1
_cell_length_a 9.029
_cell_length_b 9.045
_cell_length_c 22.639
_cell_angle_alpha 89.72
_cell_angle_beta 89.94
_cell_angle_gamma 60.13
loop_
_space_group_symop_operation_xyz
'x,y,z'
loop_
_atom_site_label
_atom_site_type_symbol
_atom_site_fract_x
_atom_site_fract_y
_atom_site_fract_z
Na1 Na 0.000 0.000 0.000
Na2 Na 0.001 0.631 0.748
Na3 Na 0.007 0.362 0.247
Na4 Na 0.009 0.993 0.498
Na5 Na 0.032 0.671 0.414
Na6 Na 0.300 0.666 0.917
Na7 Na 0.333 0.334 0.329
Na8 Na 0.343 0.326 0.833
Na9 Na 0.365 0.004 0.748
Na10 Na 0.633 0.003 0.247
Na11 Na 0.658 0.666 0.664
Na12 Na 0.658 0.674 0.164
Na13 Na 0.668 0.297 0.414
Na14 Na 0.696 0.335 0.083
Na15 Na 0.968 0.335 0.583
Nb1 Nb 0.000 0.996 0.643
Nb2 Nb 0.007 0.994 0.144
Nb3 Nb 0.332 0.329 0.978
Nb4 Nb 0.334 0.329 0.479
Nb5 Nb 0.663 0.671 0.520
Nb6 Nb 0.664 0.666 0.310
Nb7 Nb 0.667 0.663 0.812
Nb8 Nb 0.668 0.670 0.020
Nb9 Nb 0.995 0.005 0.854
Si1 Si 0.006 0.708 0.251
Si2 Si 0.044 0.334 0.084
Si3 Si 0.046 0.623 0.583
Si4 Si 0.289 0.000 0.249
Si5 Si 0.289 0.710 0.750
Si6 Si 0.332 0.623 0.081
Si7 Si 0.338 0.040 0.585
Si8 Si 0.375 0.671 0.416
Si9 Si 0.379 0.958 0.915
Si10 Si 0.622 0.043 0.084
Si11 Si 0.622 0.334 0.583
Si12 Si 0.665 0.956 0.415
Si13 Si 0.669 0.375 0.918
Si14 Si 0.709 0.004 0.749
Si15 Si 0.710 0.288 0.249
Si16 Si 0.957 0.375 0.416
Si17 Si 0.957 0.665 0.915
Si18 Si 0.998 0.289 0.748
Sn1 Sn 0.004 0.000 0.352
Sn2 Sn 0.334 0.337 0.184
Sn3 Sn 0.338 0.334 0.686
O1 O 0.017 0.166 0.087
O2 O 0.027 0.811 0.589
O3 O 0.029 0.163 0.804
O4 O 0.032 0.786 0.312
O5 O 0.118 0.368 0.144
O6 O 0.118 0.504 0.642
O7 O 0.142 0.367 0.422
O8 O 0.148 0.499 0.921
O9 O 0.159 0.033 0.588
O10 O 0.162 0.811 0.088
O11 O 0.164 0.514 0.245
O12 O 0.165 0.529 0.524
O13 O 0.167 0.308 0.027
O14 O 0.168 0.045 0.306
O15 O 0.170 0.307 0.746
O16 O 0.171 0.800 0.808
O17 O 0.183 0.833 0.413
O18 O 0.194 0.966 0.909
O19 O 0.195 0.838 0.693
O20 O 0.195 0.971 0.192
O21 O 0.296 0.527 0.745
O22 O 0.305 0.170 0.528
O23 O 0.305 0.534 0.022
O24 O 0.314 0.167 0.244
O25 O 0.360 0.145 0.922
O26 O 0.363 0.494 0.422
O27 O 0.369 0.118 0.645
O28 O 0.382 0.498 0.138
O29 O 0.473 0.828 0.971
O30 O 0.474 0.690 0.473
O31 O 0.475 0.701 0.755
O32 O 0.482 0.830 0.255
O33 O 0.493 0.366 0.921
O34 O 0.496 0.865 0.856
O35 O 0.498 0.148 0.422
O36 O 0.503 0.636 0.359
O37 O 0.503 0.852 0.575
O38 O 0.504 0.641 0.074
O39 O 0.506 0.372 0.641
O40 O 0.514 0.117 0.144
O41 O 0.516 0.166 0.747
O42 O 0.523 0.303 0.244
O43 O 0.526 0.172 0.028
O44 O 0.532 0.306 0.523
O45 O 0.639 0.503 0.860
O46 O 0.639 0.865 0.356
O47 O 0.646 0.853 0.074
O48 O 0.655 0.496 0.575
O49 O 0.695 0.465 0.976
O50 O 0.696 0.828 0.755
O51 O 0.696 0.830 0.471
O52 O 0.701 0.474 0.256
O53 O 0.786 0.174 0.309
O54 O 0.809 0.023 0.806
O55 O 0.809 0.033 0.088
O56 O 0.816 0.165 0.588
O57 O 0.827 0.695 0.255
O58 O 0.832 0.481 0.755
O59 O 0.834 0.200 0.192
O60 O 0.834 0.692 0.972
O61 O 0.836 0.970 0.692
O62 O 0.837 0.974 0.412
O63 O 0.838 0.188 0.909
O64 O 0.838 0.468 0.473
O65 O 0.850 0.498 0.075
O66 O 0.858 0.637 0.574
O67 O 0.865 0.641 0.856
O68 O 0.867 0.499 0.358
O69 O 0.965 0.192 0.412
O70 O 0.969 0.838 0.195
O71 O 0.972 0.200 0.689
O72 O 0.983 0.833 0.910

Entry 2:
# PBE-GGA Na7NbSi6Sn3O24, optimized geometry
# Crystal system = triclinic
data_Na7NbSi6Sn3O24
_space_group_name_H-M_alt 'P 1'
_space_group_IT_number 1
_cell_length_a 9.116
_cell_length_b 9.119
_cell_length_c 22.434
_cell_angle_alpha 90.06
_cell_angle_beta 90.04
_cell_angle_gamma 119.97
loop_
_space_group_symop_operation_xyz
'x,y,z'
loop_
_atom_site_label
_atom_site_type_symbol
_atom_site_fract_x
_atom_site_fract_y
_atom_site_fract_z
Na1 Na 0.000 0.000 0.000
Na2 Na 0.002 0.638 0.500
Na3 Na 0.266 0.270 0.500
Na4 Na 0.274 0.641 0.000
Na5 Na 0.299 0.601 0.667
Na6 Na 0.300 0.963 0.915
Na7 Na 0.301 0.971 0.418
Na8 Na 0.334 0.667 0.333
Na9 Na 0.339 0.310 0.833
Na10 Na 0.604 0.308 0.333
Na11 Na 0.625 0.630 0.246
Na12 Na 0.631 0.272 0.000
Na13 Na 0.634 0.006 0.500
Na14 Na 0.644 0.648 0.754
Na15 Na 0.670 0.340 0.668
Na16 Na 0.673 0.976 0.164
Na17 Na 0.931 0.601 0.164
Na18 Na 0.934 0.974 0.668
Na19 Na 0.964 0.937 0.334
Na20 Na 0.968 0.305 0.584
Na21 Na 0.979 0.305 0.085
Nb1 Nb 0.301 0.968 0.772
Nb2 Nb 0.302 0.973 0.267
Nb3 Nb 0.967 0.305 0.934
Si1 Si 0.008 0.974 0.164
Si2 Si 0.010 0.680 0.665
Si3 Si 0.260 0.306 0.333
Si4 Si 0.262 0.598 0.832
Si5 Si 0.300 0.263 0.666
Si6 Si 0.300 0.676 0.164
Si7 Si 0.341 0.638 0.499
Si8 Si 0.344 0.348 0.999
Si9 Si 0.593 0.973 0.665
Si10 Si 0.595 0.267 0.165
Si11 Si 0.634 0.345 0.499
Si12 Si 0.634 0.928 0.000
Si13 Si 0.676 0.012 0.333
Si14 Si 0.676 0.308 0.831
Si15 Si 0.926 0.639 0.000
Si16 Si 0.927 0.931 0.499
Si17 Si 0.963 0.008 0.831
Si18 Si 0.967 0.596 0.332
Sn1 Sn 0.301 0.971 0.564
Sn2 Sn 0.301 0.972 0.064
Sn3 Sn 0.631 0.635 0.103
Sn4 Sn 0.634 0.638 0.603
Sn5 Sn 0.635 0.638 0.398
Sn6 Sn 0.638 0.642 0.896
Sn7 Sn 0.967 0.304 0.732
Sn8 Sn 0.968 0.305 0.435
Sn9 Sn 0.971 0.305 0.229
O1 O 0.013 0.522 0.392
O2 O 0.108 0.948 0.222
O3 O 0.110 0.810 0.721
O4 O 0.115 0.949 0.503
O5 O 0.117 0.805 0.003
O6 O 0.118 0.002 0.104
O7 O 0.125 0.496 0.171
O8 O 0.125 0.754 0.605
O9 O 0.132 0.284 0.670
O10 O 0.137 0.787 0.325
O11 O 0.138 0.501 0.890
O12 O 0.142 0.258 0.393
O13 O 0.144 0.007 0.827
O14 O 0.152 0.325 0.992
O15 O 0.153 0.467 0.495
O16 O 0.177 0.351 0.278
O17 O 0.182 0.481 0.772
O18 O 0.260 0.147 0.606
O19 O 0.264 0.758 0.106
O20 O 0.274 0.783 0.827
O21 O 0.280 0.135 0.325
O22 O 0.322 0.158 0.004
O23 O 0.324 0.809 0.503
O24 O 0.326 0.802 0.223
O25 O 0.331 0.169 0.723
O26 O 0.421 0.476 0.055
O27 O 0.421 0.598 0.558
O28 O 0.443 0.606 0.838
O29 O 0.450 0.473 0.337
O30 O 0.459 0.678 0.440
O31 O 0.461 0.423 0.939
O32 O 0.463 0.943 0.721
O33 O 0.464 0.157 0.503
O34 O 0.467 0.953 0.004
O35 O 0.473 0.165 0.223
O36 O 0.474 0.449 0.663
O37 O 0.480 0.678 0.164
O38 O 0.485 0.992 0.326
O39 O 0.487 0.135 0.827
O40 O 0.515 0.147 0.106
O41 O 0.519 0.012 0.605
O42 O 0.588 0.799 0.944
O43 O 0.595 0.423 0.440
O44 O 0.604 0.798 0.663
O45 O 0.615 0.454 0.164
O46 O 0.644 0.467 0.837
O47 O 0.654 0.823 0.337
O48 O 0.675 0.466 0.558
O49 O 0.682 0.859 0.061
O50 O 0.751 0.133 0.392
O51 O 0.772 0.281 0.889
O52 O 0.780 0.279 0.171
O53 O 0.782 0.141 0.670
O54 O 0.785 0.336 0.771
O55 O 0.796 0.093 0.274
O56 O 0.799 0.618 0.337
O57 O 0.799 0.823 0.837
O58 O 0.804 0.118 0.991
O59 O 0.806 0.328 0.495
O60 O 0.806 0.851 0.558
O61 O 0.808 0.592 0.061
O62 O 0.824 0.669 0.663
O63 O 0.825 0.797 0.164
O64 O 0.842 0.682 0.944
O65 O 0.850 0.813 0.440
O66 O 0.925 0.475 0.274
O67 O 0.939 0.092 0.770
O68 O 0.944 0.119 0.495
O69 O 0.946 0.468 0.992
O70 O 0.980 0.136 0.170
O71 O 0.991 0.492 0.671
O72 O 0.995 0.137 0.889

Volume (computed, Å³ per cell): 1603.16 1615.60
DFT total energy (computed, eV/cell): -867.4 -831.1